(1)
Below is a relaxed LaCoN3 crystal, with properties calculated at the PBE level.

Calculated values
Volume in Å³/atom: 16.06
Formation enthalpy at 0 K in eV per atom: -0.78

Cell lengths 10.800, 4.070, 7.512 Å; angles 90.00, 103.35, 90.00 degrees
Space group C2/m (No. 12)
Asymmetric unit:
La 0.164 0.000 0.303 [4 per cell]
Co 0.041 0.500 0.654 [4 per cell]
N 0.106 0.500 0.881 [4 per cell]
N 0.134 0.500 0.474 [4 per cell]
N 0.149 0.500 0.040 [4 per cell]

(2)
Below is a relaxed Li2NdIn crystal, with properties calculated at the PBE level.

Calculated values
Volume in Å³/atom: 21.50
Formation enthalpy at 0 K in eV per atom: -0.32

Cell lengths 7.007, 7.007, 7.007 Å; angles 90.00, 90.00, 90.00 degrees
Space group Fm-3m (No. 225)
Asymmetric unit:
Li 0.250 0.250 0.250 [8 per cell]
Nd 0.000 0.000 0.000 [4 per cell]
In 0.000 0.000 0.500 [4 per cell]

(3)
Below is a relaxed Eu2Si2O7 crystal, with properties calculated at the PBE level.

Calculated values
Volume in Å³/atom: 14.07
Total magnetization in μB per cell: 48.0
Formation enthalpy at 0 K in eV per atom: -3.28

Cell lengths 14.201, 8.469, 5.146 Å; angles 90.00, 90.00, 90.00 degrees
Space group Pnma (No. 62)
Asymmetric unit:
Eu 0.126 0.005 0.159 [8 per cell]
Si 0.037 0.750 0.623 [4 per cell]
Si 0.178 0.250 0.626 [4 per cell]
O 0.045 0.585 0.787 [8 per cell]
O 0.079 0.250 0.447 [4 per cell]
O 0.098 0.750 0.355 [4 per cell]
O 0.155 0.250 0.935 [4 per cell]
O 0.230 0.089 0.522 [8 per cell]

(4)
Below is a relaxed Cu14I19 crystal, with properties calculated at the PBE level.

Calculated values
Volume in Å³/atom: 31.61
Total magnetization in μB per cell: 4.9
Formation enthalpy at 0 K in eV per atom: -0.29

Cell lengths 7.303, 4.243, 67.359 Å; angles 90.00, 91.76, 90.00 degrees
Space group Cm (No. 8)
Asymmetric unit:
Cu 0.000 0.000 0.000 [2 per cell]
Cu 0.002 0.500 0.580 [2 per cell]
Cu 0.053 0.000 0.158 [2 per cell]
Cu 0.079 0.500 0.735 [2 per cell]
Cu 0.104 0.000 0.317 [2 per cell]
Cu 0.132 0.500 0.895 [2 per cell]
Cu 0.184 0.500 0.053 [2 per cell]
Cu 0.237 0.500 0.211 [2 per cell]
Cu 0.263 0.000 0.789 [2 per cell]
Cu 0.316 0.000 0.947 [2 per cell]
Cu 0.369 0.000 0.105 [2 per cell]
Cu 0.420 0.000 0.263 [2 per cell]
Cu 0.448 0.500 0.842 [2 per cell]
Cu 0.449 0.000 0.423 [2 per cell]
I 0.038 0.000 0.119 [2 per cell]
I 0.049 0.500 0.698 [2 per cell]
I 0.089 0.000 0.277 [2 per cell]
I 0.116 0.500 0.856 [2 per cell]
I 0.118 0.000 0.438 [2 per cell]
I 0.169 0.500 0.014 [2 per cell]
I 0.171 0.000 0.596 [2 per cell]
I 0.222 0.500 0.171 [2 per cell]
I 0.246 0.000 0.751 [2 per cell]
I 0.273 0.500 0.329 [2 per cell]
I 0.300 0.000 0.908 [2 per cell]
I 0.304 0.500 0.489 [2 per cell]
I 0.353 0.000 0.066 [2 per cell]
I 0.357 0.500 0.646 [2 per cell]
I 0.406 0.000 0.224 [2 per cell]
I 0.432 0.500 0.803 [2 per cell]
I 0.440 0.000 0.386 [2 per cell]
I 0.485 0.500 0.961 [2 per cell]
I 0.492 0.000 0.543 [2 per cell]

(5)
Below is a relaxed CoSbS crystal, with properties calculated at the PBE level.

Calculated values
Volume in Å³/atom: 17.22
Formation enthalpy at 0 K in eV per atom: -0.52

Cell lengths 3.644, 4.855, 5.841 Å; angles 90.00, 90.00, 90.00 degrees
Space group Pmn2_1 (No. 31)
Asymmetric unit:
Co 0.000 0.217 0.000 [2 per cell]
Sb 0.000 0.465 0.373 [2 per cell]
S 0.000 0.041 0.637 [2 per cell]

(6)
Below is a relaxed Sc4Ge6Ru7 crystal, with properties calculated at the PBE level.

Calculated values
Volume in Å³/atom: 15.99
Total magnetization in μB per cell: 0.1
Formation enthalpy at 0 K in eV per atom: -0.62

Cell lengths 8.162, 8.162, 8.162 Å; angles 90.00, 90.00, 90.00 degrees
Space group Im-3m (No. 229)
Asymmetric unit:
Sc 0.250 0.250 0.250 [8 per cell]
Ge 0.000 0.000 0.309 [12 per cell]
Ru 0.000 0.000 0.000 [2 per cell]
Ru 0.000 0.250 0.500 [12 per cell]

(7)
Below is a relaxed CuPb2Cl2O2 crystal, with properties calculated at the PBE level.

Calculated values
Volume in Å³/atom: 18.74
Total magnetization in μB per cell: 0.0
Formation enthalpy at 0 K in eV per atom: -1.15

Cell lengths 4.010, 4.010, 16.311 Å; angles 90.00, 90.00, 90.00 degrees
Space group I4/mmm (No. 139)
Asymmetric unit:
Cu 0.000 0.000 0.000 [2 per cell]
Pb 0.000 0.000 0.393 [4 per cell]
Cl 0.000 0.000 0.181 [4 per cell]
O 0.000 0.500 0.000 [4 per cell]

(8)
Below is a relaxed Ti3CoS6 crystal, with properties calculated at the PBE level.

Calculated values
Volume in Å³/atom: 16.74
Formation enthalpy at 0 K in eV per atom: -1.49

Cell lengths 5.8605, 5.8605, 16.8830 Å; angles 90.00, 90.00, 120.00 degrees
Space group R-3 (No. 148, hexagonal axes)
Asymmetric unit:
Ti 0.0000 0.0000 0.0000 [3 per cell]
Ti 0.0000 0.0000 0.3306 [6 per cell]
Co 0.0000 0.0000 0.5000 [3 per cell]
S 0.0021 0.3292 0.5802 [18 per cell]

(9)
Below is a relaxed Dy7Co6Sn23 crystal, with properties calculated at the PBE level.

Calculated values
Volume in Å³/atom: 26.89
Total magnetization in μB per cell: 0.1
Formation enthalpy at 0 K in eV per atom: -0.12

Cell lengths 10.1141, 10.1141, 10.9288 Å; angles 90.00, 90.00, 120.00 degrees
Space group P-3m1 (No. 164)
Asymmetric unit:
Dy 0.0000 0.0000 0.0000 [1 per cell]
Dy 0.0489 0.5245 0.2900 [6 per cell]
Co 0.1935 0.3870 0.1488 [6 per cell]
Sn 0.0000 0.0000 0.5000 [1 per cell]
Sn 0.0000 0.3476 0.0000 [6 per cell]
Sn 0.1159 0.2318 0.3218 [6 per cell]
Sn 0.2279 0.4558 0.5557 [6 per cell]
Sn 0.3333 0.6667 0.1076 [2 per cell]
Sn 0.3333 0.6667 0.7978 [2 per cell]

(10)
Below is a relaxed Ho2ZnTc crystal, with properties calculated at the PBE level.

Calculated values
Volume in Å³/atom: 20.88
Total magnetization in μB per cell: 0.0
Formation enthalpy at 0 K in eV per atom: -0.17

Cell lengths 6.939, 6.939, 6.939 Å; angles 90.00, 90.00, 90.00 degrees
Space group Fm-3m (No. 225)
Asymmetric unit:
Ho 0.250 0.250 0.250 [8 per cell]
Zn 0.000 0.000 0.000 [4 per cell]
Tc 0.000 0.000 0.500 [4 per cell]

(11)
Below is a relaxed Rb2TlGaCl6 crystal, with properties calculated at the PBE level.

Calculated values
Volume in Å³/atom: 32.25
Total magnetization in μB per cell: 0.0
Formation enthalpy at 0 K in eV per atom: -1.78

Cell lengths 10.886, 10.886, 10.886 Å; angles 90.00, 90.00, 90.00 degrees
Space group Fm-3m (No. 225)
Asymmetric unit:
Rb 0.250 0.250 0.250 [8 per cell]
Tl 0.000 0.000 0.000 [4 per cell]
Ga 0.000 0.000 0.500 [4 per cell]
Cl 0.000 0.000 0.279 [24 per cell]

(12)
Below is a relaxed Ba2SrI6 crystal, with properties calculated at the PBE level.

Calculated values
Volume in Å³/atom: 41.64
Formation enthalpy at 0 K in eV per atom: -2.00
Piezoelectric modulus e_max in C/m²: 0.80

Cell lengths 9.2300, 9.2300, 5.0795 Å; angles 90.00, 90.00, 120.00 degrees
Space group P-62m (No. 189)
Asymmetric unit:
Ba 0.3333 0.6667 0.0000 [2 per cell]
Sr 0.0000 0.0000 0.5000 [1 per cell]
I 0.0000 0.2509 0.0000 [3 per cell]
I 0.0000 0.5972 0.5000 [3 per cell]

(13)
Below is a relaxed GePdO3 crystal, with properties calculated at the PBE level.

Calculated values
Volume in Å³/atom: 10.70
Total magnetization in μB per cell: 2.0
Formation enthalpy at 0 K in eV per atom: -0.94

Cell lengths 3.768, 3.768, 3.768 Å; angles 90.00, 90.00, 90.00 degrees
Space group Pm-3m (No. 221)
Asymmetric unit:
Ge 0.000 0.000 0.000 [1 per cell]
Pd 0.500 0.500 0.500 [1 per cell]
O 0.000 0.000 0.500 [3 per cell]

(14)
Below is a relaxed HfRu3 crystal, with properties calculated at the PBE level.

Calculated values
Volume in Å³/atom: 15.49
Total magnetization in μB per cell: 0.0
Formation enthalpy at 0 K in eV per atom: -0.21

Cell lengths 5.6645, 5.6645, 4.4593 Å; angles 90.00, 90.00, 120.00 degrees
Space group P6_3/mmc (No. 194)
Asymmetric unit:
Hf 0.3333 0.6667 0.2500 [2 per cell]
Ru 0.1646 0.3292 0.7500 [6 per cell]

(15)
Below is a relaxed Ba3SbI3 crystal, with properties calculated at the PBE level.

Calculated values
Volume in Å³/atom: 51.81
Formation enthalpy at 0 K in eV per atom: -1.75

Cell lengths 14.263, 14.263, 14.263 Å; angles 90.00, 90.00, 90.00 degrees
Space group I4_132 (No. 214)
Asymmetric unit:
Ba 0.118 0.368 0.125 [24 per cell]
Sb 0.125 0.125 0.125 [8 per cell]
I 0.124 0.375 0.374 [24 per cell]

For each record above, in turn, the calculated E values are -7.976, -3.150, -8.842, -2.686, -5.481, -7.561, -4.546, -6.753, -4.759, -5.367, -3.260, -3.380, -5.453, -9.657, -3.655 eV per atom.